1.
The following is a GGA+U calculation of a relaxed FeHO2 crystal, from Materials Project.

## Properties
Formation energy   -1268 meV per atom
Uncorrected energy   -371.19 eV/cell

Cell: 5.955 10.972 11.023 Å, 89.23 84.71 85.80°
Positions (direct):
Fe  0.000  0.000  0.000
Fe  0.000  0.350  0.720
Fe  0.013  0.532  0.190
Fe  0.157  0.290  0.020
Fe  0.238  0.823  0.163
Fe  0.262  0.507  0.475
Fe  0.272  0.067  0.687
Fe  0.473  0.798  0.529
Fe  0.477  0.000  0.984
Fe  0.479  0.357  0.713
Fe  0.511  0.529  0.185
Fe  0.698  0.280  0.005
Fe  0.731  0.804  0.170
Fe  0.761  0.515  0.519
Fe  0.765  0.088  0.692
Fe  0.935  0.789  0.507
H  0.011  0.031  0.231
H  0.032  0.293  0.503
H  0.124  0.881  0.657
H  0.196  0.558  0.751
H  0.255  0.744  0.365
H  0.329  0.451  0.057
H  0.451  0.208  0.867
H  0.500  0.020  0.223
H  0.547  0.299  0.481
H  0.651  0.905  0.672
H  0.735  0.623  0.335
H  0.746  0.806  0.921
H  0.748  0.551  0.763
H  0.749  0.931  0.365
H  0.839  0.342  0.181
H  0.994  0.150  0.845
O  0.004  0.064  0.816
O  0.004  0.353  0.175
O  0.009  0.620  0.533
O  0.009  0.707  0.193
O  0.024  0.066  0.593
O  0.027  0.375  0.536
O  0.221  0.819  0.414
O  0.222  0.475  0.721
O  0.230  0.118  0.027
O  0.232  0.528  0.053
O  0.247  0.236  0.699
O  0.254  0.512  0.301
O  0.268  0.877  0.992
O  0.285  0.887  0.666
O  0.444  0.296  0.893
O  0.481  0.702  0.207
O  0.485  0.623  0.522
O  0.488  0.945  0.180
O  0.507  0.052  0.809
O  0.521  0.379  0.519
O  0.538  0.361  0.138
O  0.542  0.075  0.593
O  0.707  0.106  0.021
O  0.713  0.847  0.389
O  0.726  0.826  0.647
O  0.742  0.867  0.985
O  0.744  0.479  0.713
O  0.765  0.253  0.702
O  0.778  0.549  0.097
O  0.786  0.535  0.331
O  0.955  0.319  0.892
O  0.978  0.958  0.189

2.
The following is a GGA+U calculation of a relaxed Fe8H10O17 crystal, from Materials Project.

## Properties
Relative energy among the computed polymorphs   0.0281 eV per atom
Formation energy   -1391 meV per atom
Uncorrected energy   -409.50 eV/cell

Cell: 6.161 10.556 10.724 Å, 90.67 90.78 90.29°
Positions (direct):
Fe  0.000  0.000  0.000
Fe  0.000  0.499  0.782
Fe  0.238  0.192  0.848
Fe  0.242  0.006  0.308
Fe  0.245  0.519  0.501
Fe  0.245  0.800  0.816
Fe  0.487  0.002  0.000
Fe  0.491  0.817  0.529
Fe  0.494  0.495  0.797
Fe  0.497  0.302  0.352
Fe  0.736  0.521  0.504
Fe  0.743  0.011  0.330
Fe  0.746  0.796  0.828
Fe  0.750  0.288  0.973
Fe  0.977  0.301  0.359
Fe  0.995  0.815  0.527
H  0.042  0.730  0.019
H  0.049  0.225  0.620
H  0.114  0.453  0.979
H  0.133  0.390  0.158
H  0.178  0.249  0.121
H  0.263  0.026  0.570
H  0.423  0.387  0.081
H  0.435  0.730  0.014
H  0.486  0.804  0.271
H  0.504  0.595  0.323
H  0.523  0.209  0.648
H  0.543  0.078  0.719
H  0.551  0.518  0.069
H  0.739  0.885  0.128
H  0.754  0.414  0.208
H  0.798  0.029  0.576
H  0.878  0.247  0.726
H  0.899  0.538  0.981
H  0.982  0.801  0.270
H  0.998  0.576  0.300
O  0.005  0.803  0.967
O  0.011  0.191  0.986
O  0.230  0.319  0.179
O  0.239  0.372  0.822
O  0.240  0.999  0.872
O  0.242  0.329  0.454
O  0.243  0.705  0.488
O  0.245  0.991  0.126
O  0.246  0.956  0.510
O  0.248  0.613  0.838
O  0.440  0.141  0.688
O  0.489  0.512  0.358
O  0.492  0.188  0.971
O  0.492  0.802  0.969
O  0.493  0.123  0.330
O  0.493  0.507  0.618
O  0.494  0.873  0.331
O  0.498  0.817  0.710
O  0.514  0.440  0.025
O  0.735  0.326  0.470
O  0.738  0.707  0.487
O  0.742  0.978  0.886
O  0.743  0.322  0.212
O  0.744  0.977  0.136
O  0.754  0.361  0.810
O  0.754  0.962  0.517
O  0.755  0.603  0.855
O  0.984  0.182  0.692
O  0.985  0.506  0.358
O  0.987  0.475  0.032
O  0.989  0.811  0.709
O  0.990  0.871  0.329
O  0.994  0.122  0.332
O  0.994  0.507  0.609

3.
The following is a GGA+U calculation of a relaxed FeHO2 crystal, from Materials Project.

## Properties
Formation energy   -1430 meV per atom
Uncorrected energy   -95.40 eV/cell

Cell: 9.978 4.915 3.149 Å, 90.00 90.00 90.00°
Positions (direct):
Fe  0.154  0.030  0.000
Fe  0.346  0.530  0.500
Fe  0.654  0.470  0.000
Fe  0.846  0.970  0.500
H  0.025  0.622  0.249
H  0.475  0.122  0.749
H  0.525  0.878  0.249
H  0.975  0.378  0.749
O  0.033  0.794  0.405
O  0.216  0.229  0.492
O  0.284  0.729  0.992
O  0.467  0.294  0.905
O  0.533  0.706  0.405
O  0.716  0.271  0.492
O  0.784  0.771  0.992
O  0.967  0.206  0.905

4.
The following is a GGA+U calculation of a relaxed FeHO2 crystal, from Materials Project.

## Properties
Formation energy   -1397 meV per atom
Uncorrected energy   -94.86 eV/cell

Cell: 7.742 7.742 7.742 Å, 92.28 92.28 156.99°
Positions (direct):
Fe  0.157  0.321  0.478
Fe  0.321  0.843  0.164
Fe  0.679  0.157  0.836
Fe  0.843  0.679  0.522
H  0.043  0.773  0.816
H  0.227  0.043  0.271
H  0.773  0.957  0.729
H  0.957  0.227  0.184
O  0.040  0.681  0.720
O  0.296  0.658  0.953
O  0.319  0.040  0.359
O  0.342  0.296  0.638
O  0.658  0.704  0.362
O  0.681  0.960  0.641
O  0.704  0.342  0.047
O  0.960  0.319  0.280

What did the fourth record say?
The following is a GGA+U calculation of a relaxed FeHO2 crystal, from Materials Project.

## Properties
Formation energy   -1397 meV per atom
Uncorrected energy   -94.86 eV/cell

Cell: 7.742 7.742 7.742 Å, 92.28 92.28 156.99°
Positions (direct):
Fe  0.157  0.321  0.478
Fe  0.321  0.843  0.164
Fe  0.679  0.157  0.836
Fe  0.843  0.679  0.522
H  0.043  0.773  0.816
H  0.227  0.043  0.271
H  0.773  0.957  0.729
H  0.957  0.227  0.184
O  0.040  0.681  0.720
O  0.296  0.658  0.953
O  0.319  0.040  0.359
O  0.342  0.296  0.638
O  0.658  0.704  0.362
O  0.681  0.960  0.641
O  0.704  0.342  0.047
O  0.960  0.319  0.280